# 1
Li2SnH10O8: optimized geometry, PBE.

M_tot: 0.0 μB/cell
Formation energy: -1.551 eV per atom
Offset from the most stable computed form: 7 meV per atom

Unit cell a=7.0709 b=5.0634 c=10.6506 alpha=70.80 beta=90.00 gamma=90.00
With the nearest neighbours (Å) after each atom.
Element x y z (fractional)
Li 0.7745 0.3792 0.6774  4 O 1.95-2.01
Li 0.7255 0.3792 0.1774  4 O 1.95-2.01
Li 0.2255 0.6208 0.3226  4 O 1.95-2.01
Li 0.2745 0.6208 0.8226  4 O 1.95-2.01
Sn 0.5000 0.0000 0.5000  6 O 2.09-2.12
Sn 0.0000 0.0000 0.0000  6 O 2.09-2.12
H 0.8263 0.8998 0.6025  1 O 0.99
H 0.6737 0.8998 0.1025  1 O 0.99
H 0.1737 0.1002 0.3975  1 O 0.99
H 0.3263 0.1002 0.8975  1 O 0.99
H 0.4488 0.3432 0.6378  1 O 1.00
H 0.0512 0.3432 0.1378  1 O 1.00
H 0.5512 0.6568 0.3622  1 O 1.00
H 0.9488 0.6568 0.8622  1 O 1.00
H 0.2173 0.6718 0.5853  1 O 0.98
H 0.2827 0.6718 0.0853  1 O 0.98
H 0.7827 0.3282 0.4147  1 O 0.98
H 0.7173 0.3282 0.9147  1 O 0.98
H 0.0247 0.0545 0.7065  1 O 1.01
H 0.4753 0.0545 0.2065  1 O 1.01
H 0.9753 0.9455 0.2935  1 O 1.01
H 0.5247 0.9455 0.7935  1 O 1.01
H 0.0946 0.2222 0.5541  1 O 1.00
H 0.4054 0.2222 0.0541  1 O 1.00
H 0.9054 0.7778 0.4459  1 O 1.00
H 0.5946 0.7778 0.9459  1 O 1.00
O 0.7480 0.7732 0.5708  1 H 0.99
O 0.7520 0.7732 0.0708  1 H 0.99
O 0.2520 0.2268 0.4292  1 H 0.99
O 0.2480 0.2268 0.9292  1 H 0.99
O 0.5390 0.1868 0.6467  1 H 1.00
O 0.9610 0.1868 0.1467  1 H 1.00
O 0.4610 0.8132 0.3533  1 H 1.00
O 0.0390 0.8132 0.8533  1 H 1.00
O 0.3357 0.6771 0.6324  1 H 0.98
O 0.1643 0.6771 0.1324  1 H 0.98
O 0.6643 0.3229 0.3676  1 H 0.98
O 0.8357 0.3229 0.8676  1 H 0.98
O 0.9887 0.2017 0.6194  2 H 1.00-1.01
O 0.5113 0.2017 0.1194  2 H 1.00-1.01
O 0.0113 0.7983 0.3806  2 H 1.00-1.01
O 0.4887 0.7983 0.8806  2 H 1.00-1.01

---

# 2
Li2SnH6O6: optimized geometry, PBE.

M_tot: 0.0 μB/cell
Formation energy: -1.663 eV per atom

Unit cell a=5.2310 b=5.6332 c=10.0886 alpha=90.00 beta=114.10 gamma=90.00
With the nearest neighbours (Å) after each atom.
Element x y z (fractional)
Li 0.0636 0.7305 0.6581  4 O 1.96-2.08
Li 0.0636 0.7695 0.1581  4 O 1.96-2.08
Li 0.9364 0.2695 0.3419  4 O 1.96-2.08
Li 0.9364 0.2305 0.8419  4 O 1.96-2.08
Sn 0.5000 0.0000 0.0000  6 O 2.08-2.12
Sn 0.5000 0.5000 0.5000  6 O 2.08-2.12
H 0.0033 0.8225 0.8794  1 O 0.99
H 0.0033 0.6775 0.3794  1 O 0.99
H 0.9967 0.1775 0.1206  1 O 0.99
H 0.9967 0.3225 0.6206  1 O 0.99
H 0.3331 0.4207 0.0626  1 O 0.99
H 0.3331 0.0793 0.5626  1 O 0.99
H 0.6669 0.5793 0.9374  1 O 0.99
H 0.6669 0.9207 0.4374  1 O 0.99
H 0.5584 0.7530 0.2309  1 O 0.98
H 0.5584 0.7470 0.7309  1 O 0.98
H 0.4416 0.2470 0.7691  1 O 0.98
H 0.4416 0.2530 0.2691  1 O 0.98
O 0.1140 0.9064 0.8342  1 H 0.99
O 0.1140 0.5936 0.3342  1 H 0.99
O 0.8860 0.0936 0.1658  1 H 0.99
O 0.8860 0.4064 0.6658  1 H 0.99
O 0.2561 0.2584 0.0488  1 H 0.99
O 0.2561 0.2416 0.5488  1 H 0.99
O 0.7439 0.7416 0.9512  1 H 0.99
O 0.7439 0.7584 0.4512  1 H 0.99
O 0.4139 0.7544 0.1308  1 H 0.98
O 0.4139 0.7456 0.6308  1 H 0.98
O 0.5861 0.2456 0.8692  1 H 0.98
O 0.5861 0.2544 0.3692  1 H 0.98

---

# 3
Li2SnH10O8: optimized geometry, PBE.

M_tot: 0.0 μB/cell
Formation energy: -1.557 eV per atom
Offset from the most stable computed form: 0 meV per atom

Unit cell a=10.5041 b=6.0961 c=6.1382 alpha=62.00 beta=90.00 gamma=90.00
With the nearest neighbours (Å) after each atom.
Element x y z (fractional)
Li 0.0644 0.3450 0.8261  4 O 1.99-2.05
Li 0.5644 0.1550 0.1739  4 O 1.99-2.05
Li 0.9356 0.6550 0.1739  4 O 1.99-2.05
Li 0.4356 0.8450 0.8261  4 O 1.99-2.05
Sn 0.0000 0.0000 0.5000  6 O 2.09-2.12
Sn 0.5000 0.5000 0.5000  6 O 2.09-2.12
H 0.1231 0.3859 0.4330  1 O 0.99
H 0.6231 0.1141 0.5670  1 O 0.99
H 0.8769 0.6141 0.5670  1 O 0.99
H 0.3769 0.8859 0.4330  1 O 0.99
H 0.7927 0.2880 0.3498  1 O 1.00
H 0.2927 0.2120 0.6502  1 O 1.00
H 0.2073 0.7120 0.6502  1 O 1.00
H 0.7073 0.7880 0.3498  1 O 1.00
H 0.1954 0.1328 0.1993  1 O 0.99
H 0.6954 0.3672 0.8007  1 O 0.99
H 0.8046 0.8672 0.8007  1 O 0.99
H 0.3046 0.6328 0.1993  1 O 0.99
H 0.8752 0.1498 0.8565  1 O 1.01
H 0.3752 0.3502 0.1435  1 O 1.01
H 0.1248 0.8502 0.1435  1 O 1.01
H 0.6248 0.6498 0.8565  1 O 1.01
H 0.8685 0.3010 0.0231  1 O 1.02
H 0.3685 0.1990 0.9769  1 O 1.02
H 0.1315 0.6990 0.9769  1 O 1.02
H 0.6315 0.8010 0.0231  1 O 1.02
O 0.1163 0.2265 0.5875  1 H 0.99
O 0.6163 0.2735 0.4125  1 H 0.99
O 0.8837 0.7735 0.4125  1 H 0.99
O 0.3837 0.7265 0.5875  1 H 0.99
O 0.8809 0.3067 0.2842  1 H 1.00
O 0.3809 0.1933 0.7158  1 H 1.00
O 0.1191 0.6933 0.7158  1 H 1.00
O 0.6191 0.8067 0.2842  1 H 1.00
O 0.1056 0.0994 0.1758  1 H 0.99
O 0.6056 0.4006 0.8242  1 H 0.99
O 0.8944 0.9006 0.8242  1 H 0.99
O 0.3944 0.5994 0.1758  1 H 0.99
O 0.8696 0.3187 0.8501  2 H 1.01-1.02
O 0.3696 0.1813 0.1499  2 H 1.01-1.02
O 0.1304 0.6813 0.1499  2 H 1.01-1.02
O 0.6304 0.8187 0.8501  2 H 1.01-1.02

---

- What is the formula in the third record?
  Li2SnH10O8

---

- Which value of formation energy does entry 1 give?
  -1.551 eV per atom